Density functional theory data (GGA-PBE) for crystalline Na7La2Zr2Si3P3O24 at its relaxed geometry.

Cell lengths 9.4681, 9.4684, 23.1919 Å; angles 89.94, 89.91, 60.07 degrees
Closest atoms and distances in Å follow each position.
Space group P1 (No. 1)
Asymmetric unit:
1 Na 0.0000 0.0000 0.0000 (multiplicity 1)  4 O 2.41-2.65
2 Na 0.0019 0.2538 0.4845 (multiplicity 1)  5 O 2.49-2.74
3 Na 0.0235 0.9341 0.3200 (multiplicity 1)  5 O 2.52-2.81
4 Na 0.0301 0.2930 0.8211 (multiplicity 1)  6 O 2.53-2.76
5 Na 0.3041 0.6609 0.8178 (multiplicity 1)  5 O 2.45-2.69
6 Na 0.3079 0.2808 0.3237 (multiplicity 1)  4 O 2.52-2.74
7 Na 0.3317 0.9573 0.9082 (multiplicity 1)  6 O 2.60-2.77
8 Na 0.3412 0.3104 0.6528 (multiplicity 1)  3 O 2.43-2.69
9 Na 0.3453 0.9574 0.4035 (multiplicity 1)  6 O 2.57-2.82
10 Na 0.3607 0.2491 0.9976 (multiplicity 1)  5 O 2.44-2.67
11 Na 0.3695 0.6170 0.4942 (multiplicity 1)  6 O 2.47-2.76
12 Na 0.6162 0.0077 0.4897 (multiplicity 1)  6 O 2.56-2.77
13 Na 0.6323 0.6256 0.9960 (multiplicity 1)  4 O 2.45-2.58
14 Na 0.6560 0.2995 0.0790 (multiplicity 1)  6 O 2.53-2.77
15 Na 0.6592 0.9181 0.8151 (multiplicity 1)  5 O 2.47-2.71
16 Na 0.6634 0.2783 0.5775 (multiplicity 1)  6 O 2.54-2.85
17 Na 0.6861 0.6084 0.6586 (multiplicity 1)  3 O 2.49-2.66
18 Na 0.6893 0.9673 0.1599 (multiplicity 1)  4 O 2.48-2.71
19 Na 0.9693 0.3124 0.1613 (multiplicity 1)  4 O 2.48-2.69
20 Na 0.9907 0.6452 0.7369 (multiplicity 1)  6 O 2.50-2.75
21 Na 0.9961 0.6275 0.2405 (multiplicity 1)  6 O 2.58-2.64
22 La 0.3274 0.9597 0.0715 (multiplicity 1)  6 O 2.28-2.49
23 La 0.3301 0.9597 0.5604 (multiplicity 1)  6 O 2.28-2.51
24 La 0.3320 0.9512 0.7470 (multiplicity 1)  6 O 2.27-2.48
25 La 0.6610 0.2922 0.4169 (multiplicity 1)  6 O 2.30-2.54
26 La 0.6670 0.2955 0.9256 (multiplicity 1)  4 O 2.23-2.39
27 La 0.9951 0.6200 0.8911 (multiplicity 1)  5 O 2.23-2.49
28 Zr 0.0041 0.6275 0.5920 (multiplicity 1)  6 O 2.05-2.17
29 Zr 0.0050 0.6200 0.0961 (multiplicity 1)  6 O 2.04-2.25
30 Zr 0.3298 0.9584 0.2544 (multiplicity 1)  6 O 2.06-2.20
31 Zr 0.6649 0.2906 0.2284 (multiplicity 1)  6 O 2.05-2.21
32 Zr 0.6667 0.2907 0.7229 (multiplicity 1)  6 O 2.05-2.16
33 Zr 0.9945 0.6180 0.3848 (multiplicity 1)  6 O 2.04-2.24
34 Si 0.0008 0.3227 0.9947 (multiplicity 1)  4 O 1.64-1.67
35 Si 0.0178 0.9616 0.1591 (multiplicity 1)  4 O 1.63-1.66
36 Si 0.2864 0.3350 0.4889 (multiplicity 1)  4 O 1.64-1.66
37 Si 0.3342 0.2656 0.1584 (multiplicity 1)  4 O 1.63-1.67
38 Si 0.3347 0.6365 0.6580 (multiplicity 1)  4 O 1.62-1.66
39 Si 0.6497 0.9579 0.6571 (multiplicity 1)  4 O 1.64-1.65
40 Si 0.6608 0.5951 0.8229 (multiplicity 1)  4 O 1.64-1.66
41 Si 0.6621 0.9843 0.3243 (multiplicity 1)  4 O 1.64-1.66
42 Si 0.9744 0.2849 0.3241 (multiplicity 1)  4 O 1.63-1.66
43 P 0.0112 0.2799 0.6563 (multiplicity 1)  4 O 1.54-1.56
44 P 0.2925 0.6248 0.9936 (multiplicity 1)  4 O 1.54-1.57
45 P 0.3577 0.5995 0.3249 (multiplicity 1)  4 O 1.54-1.57
46 P 0.3678 0.2906 0.8219 (multiplicity 1)  4 O 1.55-1.56
47 P 0.6390 0.6491 0.1573 (multiplicity 1)  4 O 1.54-1.57
48 P 0.7007 0.9190 0.9957 (multiplicity 1)  4 O 1.55-1.57
49 P 0.7146 0.6242 0.4910 (multiplicity 1)  4 O 1.54-1.56
50 P 0.9622 0.9956 0.8236 (multiplicity 1)  4 O 1.55
51 P 0.9985 0.9072 0.4870 (multiplicity 1)  4 O 1.55
52 O 0.0007 0.4452 0.3276 (multiplicity 1)  1 Si 1.66
53 O 0.0032 0.8120 0.4319 (multiplicity 1)  1 P 1.55
54 O 0.0152 0.3989 0.9330 (multiplicity 1)  1 Si 1.64
55 O 0.0767 0.0041 0.0988 (multiplicity 1)  1 Si 1.63
56 O 0.0896 0.1729 0.6027 (multiplicity 1)  1 P 1.54
57 O 0.1201 0.2085 0.7101 (multiplicity 1)  1 P 1.54
58 O 0.1315 0.9833 0.8200 (multiplicity 1)  1 P 1.55
59 O 0.1471 0.9402 0.2106 (multiplicity 1)  1 Si 1.65
60 O 0.1557 0.9199 0.4885 (multiplicity 1)  1 P 1.55
61 O 0.1574 0.1228 0.3130 (multiplicity 1)  1 Si 1.66
62 O 0.1595 0.4399 0.1545 (multiplicity 1)  1 Si 1.66
63 O 0.1639 0.1404 0.9970 (multiplicity 1)  1 Si 1.65
64 O 0.1777 0.6276 0.0431 (multiplicity 1)  1 P 1.57
65 O 0.1797 0.4389 0.4317 (multiplicity 1)  1 Si 1.66
66 O 0.1797 0.6055 0.6488 (multiplicity 1)  1 Si 1.65
67 O 0.1835 0.4386 0.5458 (multiplicity 1)  1 Si 1.64
68 O 0.1862 0.6108 0.3264 (multiplicity 1)  1 P 1.57
69 O 0.2047 0.4542 0.8176 (multiplicity 1)  1 P 1.55
70 O 0.2097 0.6398 0.9349 (multiplicity 1)  1 P 1.54
71 O 0.2999 0.1546 0.4865 (multiplicity 1)  1 Si 1.65
72 O 0.3014 0.7401 0.7170 (multiplicity 1)  1 Si 1.62
73 O 0.3056 0.1542 0.2077 (multiplicity 1)  1 Si 1.67
74 O 0.3202 0.7721 0.9985 (multiplicity 1)  1 P 1.55
75 O 0.3294 0.7718 0.3112 (multiplicity 1)  1 P 1.55
76 O 0.3377 0.1444 0.8180 (multiplicity 1)  1 P 1.55
77 O 0.3736 0.7202 0.6028 (multiplicity 1)  1 Si 1.64
78 O 0.3807 0.1641 0.0981 (multiplicity 1)  1 Si 1.63
79 O 0.4414 0.5458 0.3843 (multiplicity 1)  1 P 1.54
80 O 0.4555 0.2743 0.8798 (multiplicity 1)  1 P 1.55
81 O 0.4549 0.4611 0.9988 (multiplicity 1)  1 P 1.55
82 O 0.4625 0.4696 0.2792 (multiplicity 1)  1 P 1.55
83 O 0.4670 0.3214 0.4919 (multiplicity 1)  1 Si 1.65
84 O 0.4780 0.2872 0.7712 (multiplicity 1)  1 P 1.56
85 O 0.4915 0.2856 0.1745 (multiplicity 1)  1 Si 1.64
86 O 0.4978 0.4534 0.6641 (multiplicity 1)  1 Si 1.66
87 O 0.4983 0.7779 0.8214 (multiplicity 1)  1 Si 1.64
88 O 0.5025 0.9658 0.3090 (multiplicity 1)  1 Si 1.64
89 O 0.5227 0.0037 0.6024 (multiplicity 1)  1 Si 1.65
90 O 0.5305 0.9324 0.9973 (multiplicity 1)  1 P 1.55
91 O 0.5308 0.7809 0.2023 (multiplicity 1)  1 P 1.56
92 O 0.5432 0.7794 0.4890 (multiplicity 1)  1 P 1.55
93 O 0.5585 0.6990 0.0974 (multiplicity 1)  1 P 1.54
94 O 0.5757 0.9151 0.7141 (multiplicity 1)  1 Si 1.64
95 O 0.6146 0.0901 0.3842 (multiplicity 1)  1 Si 1.64
96 O 0.6484 0.5168 0.8844 (multiplicity 1)  1 Si 1.64
97 O 0.6635 0.4760 0.7699 (multiplicity 1)  1 Si 1.66
98 O 0.6653 0.1207 0.6665 (multiplicity 1)  1 Si 1.64
99 O 0.6685 0.4769 0.1718 (multiplicity 1)  1 P 1.55
100 O 0.6862 0.0893 0.9993 (multiplicity 1)  1 P 1.55
101 O 0.6884 0.0943 0.2741 (multiplicity 1)  1 Si 1.66
102 O 0.7008 0.4678 0.4899 (multiplicity 1)  1 P 1.55
103 O 0.7788 0.8349 0.9379 (multiplicity 1)  1 P 1.55
104 O 0.8081 0.6208 0.5459 (multiplicity 1)  1 P 1.54
105 O 0.8091 0.6405 0.1561 (multiplicity 1)  1 P 1.57
106 O 0.8101 0.8143 0.0470 (multiplicity 1)  1 P 1.57
107 O 0.8121 0.6307 0.4375 (multiplicity 1)  1 P 1.56
108 O 0.8243 0.7916 0.6462 (multiplicity 1)  1 Si 1.64
109 O 0.8296 0.6040 0.8168 (multiplicity 1)  1 Si 1.65
110 O 0.8309 0.3157 0.9998 (multiplicity 1)  1 Si 1.65
111 O 0.8367 0.1254 0.1708 (multiplicity 1)  1 Si 1.66
112 O 0.8367 0.8112 0.3284 (multiplicity 1)  1 Si 1.65
113 O 0.8388 0.3022 0.6648 (multiplicity 1)  1 P 1.55
114 O 0.8438 0.0787 0.4895 (multiplicity 1)  1 P 1.55
115 O 0.8479 0.1070 0.7750 (multiplicity 1)  1 P 1.55
116 O 0.8487 0.3073 0.2717 (multiplicity 1)  1 Si 1.64
117 O 0.8899 0.0740 0.8827 (multiplicity 1)  1 P 1.55
118 O 0.9111 0.2464 0.3844 (multiplicity 1)  1 Si 1.63
119 O 0.9765 0.8261 0.8178 (multiplicity 1)  1 P 1.55
120 O 0.9879 0.4534 0.6482 (multiplicity 1)  1 P 1.56
121 O 0.9902 0.8031 0.1546 (multiplicity 1)  1 Si 1.65
122 O 0.9937 0.8101 0.5402 (multiplicity 1)  1 P 1.55
123 O 0.9954 0.4441 0.0480 (multiplicity 1)  1 Si 1.67

Output
- Total DFT energy (no corrections): -0.266 Ha/atom
- Theoretical density: 3.27 Mg/m³
- Calculated formation energy: -3.0686 eV per atom
- Total magnetic moment: 0.0 μB/cell



Density functional theory data (GGA-PBE) for crystalline Sm4Co at its relaxed geometry.

Cell lengths 10.7752, 10.7752, 10.7752 Å; angles 90.00, 90.00, 90.00 degrees
Closest atoms and distances in Å follow each position.
Space group Fd-3m (No. 227, origin choice 2)
Asymmetric unit:
1 Sm 0.0102 0.0102 0.2398 (multiplicity 32)  1 Co 2.52
2 Co 0.1250 0.1250 0.6250 (multiplicity 8)  4 Sm 2.52

Output
- Total DFT energy (no corrections): -0.180 Ha/atom
- Theoretical density: 7.01 Mg/m³
- Calculated formation energy: 0.3004 eV per atom
- Total magnetic moment: 5.5 μB/cell



Density functional theory data (GGA-PBE) for crystalline Er5Co2Te2 at its relaxed geometry.

Cell lengths 3.9103, 14.9376, 14.9490 Å; angles 90.00, 90.00, 90.00 degrees
Closest atoms and distances in Å follow each position.
Space group Cmcm (No. 63)
Asymmetric unit:
1 Er 0.0000 0.0385 0.1266 (multiplicity 8)  3 Co 2.79-2.81
2 Er 0.0000 0.2588 0.6312 (multiplicity 8)  3 Co 2.79-2.90
3 Er 0.0000 0.3935 0.2500 (multiplicity 4)  2 Co 2.90-3.18, 2 Te 3.17
4 Co 0.0000 0.1805 0.2500 (multiplicity 4)  2 Co 2.40
5 Co 0.0000 0.4123 0.7500 (multiplicity 4)  2 Co 2.40
6 Te 0.0000 0.3821 0.0380 (multiplicity 8)  8 Er 3.13-3.36

Output
- Total DFT energy (no corrections): -0.204 Ha/atom
- Theoretical density: 9.20 Mg/m³
- Calculated formation energy: -0.8355 eV per atom



Density functional theory data (GGA-PBE) for crystalline Sr3Y2B4O12 at its relaxed geometry.

Cell lengths 7.5487, 15.7981, 8.7281 Å; angles 90.00, 90.00, 90.00 degrees
Closest atoms and distances in Å follow each position.
Space group Pnma (No. 62)
Asymmetric unit:
1 Sr 0.1744 0.1246 0.1533 (multiplicity 8)  6 O 2.43-2.71
2 Sr 0.1765 0.7500 0.0284 (multiplicity 4)  8 O 2.44-2.67
3 Y 0.0122 0.0829 0.6721 (multiplicity 8)  7 O 2.28-2.52
4 B 0.0205 0.7500 0.6060 (multiplicity 4)  3 O 1.39-1.40
5 B 0.1665 0.5380 0.9458 (multiplicity 8)  3 O 1.38-1.40
6 B 0.2197 0.2500 0.8531 (multiplicity 4)  3 O 1.35-1.41
7 O 0.0318 0.1736 0.4612 (multiplicity 8)  1 B 1.40
8 O 0.0817 0.5876 0.0532 (multiplicity 8)  1 B 1.38
9 O 0.1062 0.7500 0.7466 (multiplicity 4)  1 B 1.39
10 O 0.1065 0.5361 0.7945 (multiplicity 8)  1 B 1.40
11 O 0.1453 0.2500 0.9940 (multiplicity 4)  1 B 1.35
12 O 0.1795 0.5061 0.4820 (multiplicity 8)  1 B 1.39
13 O 0.2466 0.6730 0.2777 (multiplicity 8)  1 B 1.41

Output
- Total DFT energy (no corrections): -0.291 Ha/atom
- Theoretical density: 4.31 Mg/m³
- Calculated formation energy: -3.3419 eV per atom
- Total magnetic moment: 0.0 μB/cell



Density functional theory data (GGA-PBE) for crystalline Rb3TlCl6 at its relaxed geometry.

Cell lengths 13.5028, 8.0785, 12.9224 Å; angles 90.00, 108.06, 90.00 degrees
Closest atoms and distances in Å follow each position.
Space group P2_1/c (No. 14)
Asymmetric unit:
1 Rb 0.0960 0.0406 0.3588 (multiplicity 4)  7 Cl 3.41-3.74
2 Rb 0.3163 0.5641 0.2630 (multiplicity 4)  6 Cl 3.22-3.60
3 Rb 0.3197 0.0651 0.1151 (multiplicity 4)  8 Cl 3.33-3.70
4 Tl 0.0000 0.0000 0.0000 (multiplicity 2)  6 Cl 2.59-2.70
5 Tl 0.5000 0.0000 0.5000 (multiplicity 2)  6 Cl 2.62-2.67
6 Cl 0.0995 0.2268 0.6009 (multiplicity 4)  1 Tl 2.70
7 Cl 0.1200 0.5013 0.3777 (multiplicity 4)  1 Tl 2.59
8 Cl 0.1286 0.6864 0.6495 (multiplicity 4)  1 Tl 2.63
9 Cl 0.3488 0.6984 0.0066 (multiplicity 4)  1 Tl 2.62
10 Cl 0.3505 0.2089 0.3949 (multiplicity 4)  1 Tl 2.66
11 Cl 0.4993 0.6398 0.8124 (multiplicity 4)  1 Tl 2.67

Output
- Total DFT energy (no corrections): -0.115 Ha/atom
- Theoretical density: 3.34 Mg/m³
- Calculated formation energy: -1.8576 eV per atom



Density functional theory data (GGA-PBE) for crystalline Ta2AlC at its relaxed geometry.

Cell lengths 3.0989, 3.0989, 15.7210 Å; angles 90.00, 90.00, 120.00 degrees
Closest atoms and distances in Å follow each position.
Space group P6_3/mmc (No. 194)
Asymmetric unit:
1 Ta 0.3333 0.6667 0.0788 (multiplicity 4)  3 C 2.18
2 Al 0.3333 0.6667 0.2500 (multiplicity 2)  2 Ta 2.69
3 C 0.0000 0.0000 0.0000 (multiplicity 2)  6 Ta 2.18

Output
- Total DFT energy (no corrections): -0.338 Ha/atom
- Theoretical density: 10.18 Mg/m³
- Calculated formation energy: -0.0287 eV per atom



Density functional theory data (GGA-PBE) for crystalline BaAl2Ge2 at its relaxed geometry.

Cell lengths 10.2935, 4.3247, 11.0891 Å; angles 90.00, 90.00, 90.00 degrees
Closest atoms and distances in Å follow each position.
Space group Pnma (No. 62)
Asymmetric unit:
1 Ba 0.2482 0.2500 0.1749 (multiplicity 4)  7 Ge 3.34-3.67, 3 Al 3.44-3.62
2 Al 0.0429 0.2500 0.8816 (multiplicity 4)  4 Ge 2.56-2.62
3 Al 0.1011 0.2500 0.4530 (multiplicity 4)  4 Ge 2.60-2.61
4 Ge 0.0244 0.7500 0.3432 (multiplicity 4)  4 Al 2.59-2.60
5 Ge 0.1456 0.7500 0.9597 (multiplicity 4)  4 Al 2.56-2.62

Output
- Total DFT energy (no corrections): -0.152 Ha/atom
- Theoretical density: 4.53 Mg/m³
- Calculated formation energy: -0.3966 eV per atom



Density functional theory data (GGA-PBE) for crystalline Cs4GeO4 at its relaxed geometry.

Cell lengths 7.0913, 19.7282, 7.1121 Å; angles 90.00, 113.13, 90.00 degrees
Closest atoms and distances in Å follow each position.
Space group P2_1/c (No. 14)
Asymmetric unit:
1 Cs 0.1610 0.0798 0.2175 (multiplicity 4)  4 O 2.92-3.23
2 Cs 0.1907 0.2151 0.6717 (multiplicity 4)  4 O 2.93-3.04
3 Cs 0.2847 0.0146 0.7458 (multiplicity 4)  4 O 2.95-3.17
4 Cs 0.3196 0.6900 0.3219 (multiplicity 4)  5 O 3.03-3.24
5 Ge 0.2414 0.6235 0.7956 (multiplicity 4)  4 O 1.80-1.83
6 O 0.0778 0.6856 0.6142 (multiplicity 4)  1 Ge 1.83
7 O 0.1024 0.5950 0.9481 (multiplicity 4)  1 Ge 1.82
8 O 0.2835 0.5558 0.6463 (multiplicity 4)  1 Ge 1.80
9 O 0.4801 0.6623 0.9603 (multiplicity 4)  1 Ge 1.81

Output
- Total DFT energy (no corrections): -0.171 Ha/atom
- Theoretical density: 4.85 Mg/m³
- Calculated formation energy: -1.8549 eV per atom